A relaxed structure of USb2Ru. Source: Materials Project, functional meta-GGA r2SCAN.

extended XYZ file:
```
8
Lattice="4.3975 0.0000 0.0000 0.0000 4.3975 0.0000 0.0000 0.0000 9.4799" Properties=species:S:1:pos:R:3 pbc="T T T"
U 1.0994 1.0994 2.2429
U 3.2981 3.2981 7.2369
Sb 1.0994 1.0994 7.9851
Sb 1.0994 3.2981 4.7399
Sb 3.2981 1.0994 4.7399
Sb 3.2981 3.2981 1.4947
Ru 1.0994 3.2981 0.0000
Ru 3.2981 1.0994 0.0000
```

Computed properties:
- Total moment: 2.3 μB/f.u.
- Symmetry: P4/nmm, No. 129
- ΔE_f: -0.511 eV/atom